Record 1
DFT (GGA-PBE) results for a relaxed ZrTl2PbSe4 crystal.

Results
crystal system: monoclinic
corrected total energy (MP2020 scheme): -4.9259 eV/atom
space-group type: C2/c
calculated density: 7212 kg/m3
energy of formation: -1.05 eV per atom
final energy: -4.6899 eV per atom

a b c (Å): 9.1305 9.1305 7.1764
angles (deg): 73.44 73.44 56.31
Last column: nearest neighbours and their distance in Å.
Element x y z (fractional)
Se (0.5481, 0.2357, 0.4667)  1 Zr 2.69
Pb (0.6233, 0.3767, 0.7500)  6 Se 3.08-3.09
Zr (0.1248, 0.8752, 0.7500)  6 Se 2.69-2.80
Se (0.7970, 0.0047, 0.0034)  2 Zr 2.75-2.80
Tl (0.3776, 0.1258, 0.2306)  6 Se 3.22-3.44
Se (0.9953, 0.2030, 0.4966)  2 Zr 2.75-2.80
Zr (0.8752, 0.1248, 0.2500)  6 Se 2.69-2.80
Tl (0.6224, 0.8742, 0.7694)  6 Se 3.22-3.44
Pb (0.3767, 0.6233, 0.2500)  6 Se 3.08-3.09
Se (0.0047, 0.7970, 0.5034)  2 Zr 2.75-2.80
Se (0.7643, 0.4519, 0.0333)  1 Zr 2.69
Se (0.2030, 0.9953, 0.9966)  2 Zr 2.75-2.80
Se (0.4519, 0.7643, 0.5333)  1 Zr 2.69
Se (0.2357, 0.5481, 0.9667)  1 Zr 2.69
Tl (0.8742, 0.6224, 0.2694)  6 Se 3.22-3.44
Tl (0.1258, 0.3776, 0.7306)  6 Se 3.22-3.44

Record 2
DFT (GGA-PBE) results for a relaxed Zn2FeS3 crystal.

Results
crystal system: orthorhombic
corrected total energy (MP2020 scheme): -4.7223 eV/atom
space-group type: Imm2
calculated density: 3913 kg/m3
energy of formation: -0.82 eV per atom
final energy: -4.4708 eV per atom

a b c (Å): 6.6503 6.6503 6.6503
angles (deg): 146.46 131.81 59.99
Last column: nearest neighbours and their distance in Å.
Element x y z (fractional)
S (0.2468, 0.5000, 0.7468)  2 Fe 2.35, 2 Zn 2.36
Zn (0.6662, 0.6665, 0.9997)  4 S 2.36
S (0.5873, 0.8347, 0.7526)  1 Fe 2.33, 3 Zn 2.36
S (0.9179, 0.1653, 0.7526)  1 Fe 2.33, 3 Zn 2.36
Fe (0.9986, 0.0000, 0.9986)  4 S 2.33-2.35
Zn (0.3331, 0.3335, 0.9997)  4 S 2.36

Record 3
DFT (GGA-PBE) results for a relaxed Er2H16S3O20 crystal.

Results
crystal system: monoclinic
corrected total energy (MP2020 scheme): -6.1040 eV/atom
space-group type: C2/c
calculated density: 3158 kg/m3
energy of formation: -1.84 eV per atom
final energy: -5.7689 eV per atom

a b c (Å): 7.5200 7.5200 18.2644
angles (deg): 79.56 79.56 52.87
Last column: nearest neighbours and their distance in Å.
Element x y z (fractional)
H (0.1866, 0.8193, 0.6059)  1 O 1.00
O (0.5773, 0.7193, 0.9844)  1 S 1.51
O (0.1718, 0.1488, 0.9546)  2 H 0.98
H (0.1220, 0.2204, 0.3031)  1 O 0.99
O (0.3735, 0.0220, 0.1020)  1 S 1.48
H (0.8108, 0.2057, 0.6561)  1 O 0.99
O (0.9780, 0.6265, 0.3980)  1 S 1.48
Er (0.6839, 0.6478, 0.1092)  8 O 2.28-2.48
H (0.8193, 0.1866, 0.1059)  1 O 1.00
H (0.4492, 0.6541, 0.3564)  1 O 0.99
O (0.2341, 0.6898, 0.9350)  2 H 0.98-1.00
S (0.1809, 0.8191, 0.7500)  4 O 1.48-1.50
O (0.8282, 0.8512, 0.0454)  2 H 0.98
O (0.3676, 0.3079, 0.1495)  1 S 1.48
H (0.3561, 0.6761, 0.9544)  1 O 0.98
H (0.6541, 0.4492, 0.8564)  1 O 0.99
H (0.7422, 0.7120, 0.2544)  1 O 0.99
O (0.9830, 0.0890, 0.3069)  1 S 1.50
H (0.1892, 0.7943, 0.3439)  1 O 0.99
O (0.0611, 0.4100, 0.0821)  1 S 1.48
O (0.6812, 0.3521, 0.6370)  2 H 0.99
Er (0.6478, 0.6839, 0.6092)  8 O 2.28-2.48
O (0.6898, 0.2341, 0.4350)  2 H 0.98-1.00
O (0.5900, 0.9389, 0.4179)  1 S 1.48
S (0.2552, 0.3048, 0.5888)  4 O 1.48-1.51
H (0.3239, 0.6439, 0.5456)  1 O 0.98
S (0.6952, 0.7448, 0.9112)  4 O 1.48-1.51
O (0.3188, 0.6479, 0.3630)  2 H 0.99
O (0.7408, 0.7721, 0.2014)  2 H 0.99
O (0.6080, 0.2222, 0.2883)  1 S 1.48
O (0.9110, 0.0170, 0.1931)  1 S 1.50
H (0.6761, 0.3561, 0.4544)  1 O 0.98
O (0.6265, 0.9780, 0.8980)  1 S 1.48
Er (0.3522, 0.3161, 0.3908)  8 O 2.28-2.48
H (0.7943, 0.1892, 0.8439)  1 O 0.99
O (0.6479, 0.3188, 0.8630)  2 H 0.99
H (0.2204, 0.1220, 0.8031)  1 O 0.99
O (0.2592, 0.2279, 0.7986)  2 H 0.99
H (0.7796, 0.8780, 0.1969)  1 O 0.99
O (0.9389, 0.5900, 0.9179)  1 S 1.48
H (0.7120, 0.7422, 0.7544)  1 O 0.99
O (0.0890, 0.9830, 0.8069)  1 S 1.50
H (0.8134, 0.1807, 0.3941)  1 O 1.00
O (0.4100, 0.0611, 0.5821)  1 S 1.48
H (0.2352, 0.0291, 0.4858)  1 O 0.98
O (0.6324, 0.6921, 0.8505)  1 S 1.48
H (0.5508, 0.3459, 0.6436)  1 O 0.99
H (0.2750, 0.0128, 0.9860)  1 O 0.98
O (0.8512, 0.8282, 0.5454)  2 H 0.98
H (0.3459, 0.5508, 0.1436)  1 O 0.99
O (0.0170, 0.9110, 0.6931)  1 S 1.50
O (0.3521, 0.6812, 0.1370)  2 H 0.99
H (0.7250, 0.9872, 0.0140)  1 O 0.98
Er (0.3161, 0.3522, 0.8908)  8 O 2.28-2.48
S (0.8191, 0.1809, 0.2500)  4 O 1.48-1.50
O (0.7778, 0.3920, 0.2117)  1 S 1.48
S (0.3048, 0.2552, 0.0888)  4 O 1.48-1.51
H (0.6439, 0.3239, 0.0456)  1 O 0.98
H (0.8780, 0.7796, 0.6969)  1 O 0.99
H (0.2880, 0.2578, 0.2456)  1 O 0.99
H (0.9709, 0.7648, 0.0142)  1 O 0.98
O (0.0220, 0.3735, 0.6020)  1 S 1.48
H (0.0291, 0.2352, 0.9858)  1 O 0.98
O (0.7721, 0.7408, 0.7014)  2 H 0.99
O (0.3079, 0.3676, 0.6495)  1 S 1.48
O (0.2279, 0.2592, 0.2986)  2 H 0.99
O (0.2222, 0.6080, 0.7883)  1 S 1.48
H (0.1807, 0.8134, 0.8941)  1 O 1.00
H (0.9872, 0.7250, 0.5140)  1 O 0.98
H (0.0128, 0.2750, 0.4860)  1 O 0.98
O (0.1488, 0.1718, 0.4546)  2 H 0.98
O (0.2807, 0.4227, 0.5156)  1 S 1.51
O (0.3102, 0.7659, 0.5650)  2 H 0.98-1.00
O (0.7659, 0.3102, 0.0650)  2 H 0.98-1.00
H (0.2578, 0.2880, 0.7456)  1 O 0.99
O (0.7193, 0.5773, 0.4844)  1 S 1.51
O (0.3920, 0.7778, 0.7117)  1 S 1.48
S (0.7448, 0.6952, 0.4112)  4 O 1.48-1.51
O (0.6921, 0.6324, 0.3505)  1 S 1.48
H (0.2057, 0.8108, 0.1561)  1 O 0.99
H (0.7648, 0.9709, 0.5142)  1 O 0.98
O (0.4227, 0.2807, 0.0156)  1 S 1.51

Record 4
DFT (GGA-PBE) results for a relaxed CrInCoS4 crystal.

Results
crystal system: orthorhombic
corrected total energy (MP2020 scheme): -5.8816 eV/atom
space-group type: Imma
calculated density: 4323 kg/m3
energy of formation: -0.73 eV per atom
final energy: -5.5942 eV per atom

a b c (Å): 7.2756 7.2756 7.2756
angles (deg): 120.45 119.74 89.84
Last column: nearest neighbours and their distance in Å.
Element x y z (fractional)
Cr (0.0000, 0.5000, 0.0000)  6 S 2.44-2.46
In (0.5000, 0.0000, 0.5000)  6 S 2.60-2.62
S (0.7672, 0.7458, 0.0214)  1 Co 2.34, 2 Cr 2.46
S (0.2244, 0.7458, 0.4786)  1 Co 2.34, 2 Cr 2.46
Cr (0.0000, 0.0000, 0.5000)  6 S 2.44-2.46
S (0.7630, 0.7577, 0.4947)  1 Co 2.27, 1 Cr 2.44
In (0.0000, 0.0000, 0.0000)  6 S 2.60-2.62
S (0.2328, 0.2542, 0.9786)  1 Co 2.34, 2 Cr 2.46
S (0.2370, 0.2423, 0.5053)  1 Co 2.27, 1 Cr 2.44
S (0.2370, 0.7318, 0.9947)  1 Co 2.27, 1 Cr 2.44
S (0.7756, 0.2542, 0.5214)  1 Co 2.34, 2 Cr 2.46
Co (0.3757, 0.6257, 0.7500)  4 S 2.27-2.34
S (0.7630, 0.2682, 0.0053)  1 Co 2.27, 1 Cr 2.44
Co (0.6243, 0.3743, 0.2500)  4 S 2.27-2.34